Record 1
The following is a r2SCAN calculation of Dy5Mo2O12 after structural relaxation, from Materials Project.

extended XYZ file:
```
19
Lattice="6.1156 -2.8533 0.0000 6.1156 2.8533 0.0000 -2.3304 0.0000 7.1392" Properties=species:S:1:pos:R:3 pbc="T T T"
Dy 0.0000 0.0000 0.0000
Dy 3.4157 0.0000 0.9952
Dy 2.2708 0.0000 4.8441
Dy 7.6299 0.0000 2.2951
Dy 6.4850 0.0000 6.1439
Mo 4.9504 1.6157 3.5696
Mo 4.9504 -1.6157 3.5696
O -0.6784 0.0000 2.1066
O 3.1432 1.3941 2.9782
O 2.0636 1.4126 6.6027
O 7.8372 1.4126 0.5365
O 6.7576 1.3941 4.1610
O 5.3678 0.0000 2.2686
O 4.5330 0.0000 4.8706
O 3.1432 -1.3941 2.9782
O 2.0636 -1.4126 6.6027
O 7.8372 -1.4126 0.5365
O 6.7576 -1.3941 4.1610
O 10.5792 0.0000 5.0326
```

Output
Energy of formation from the pure elements: -3399.3 meV per atom
SG: C2/m
Total moment: 1.0 μB per cell


Record 2
The following is a r2SCAN calculation of NaZnP after structural relaxation, from Materials Project.

extended XYZ file:
```
6
Lattice="4.0288 0.0000 0.0000 0.0000 4.0288 0.0000 0.0000 0.0000 6.8370" Properties=species:S:1:pos:R:3 pbc="T T T"
Na 1.0072 1.0072 0.9859
Na 3.0216 3.0216 5.8511
Zn 1.0072 3.0216 3.4185
Zn 3.0216 1.0072 3.4185
P 1.0072 1.0072 4.8700
P 3.0216 3.0216 1.9670
```

Output
Energy of formation from the pure elements: -518.6 meV per atom
SG: P4/nmm
Total moment: 0.0 μB per cell


Record 3
The following is a r2SCAN calculation of Rb2WSe4 after structural relaxation, from Materials Project.

extended XYZ file:
```
28
Lattice="10.1725 0.0000 0.0000 0.0000 7.3379 0.0000 0.0000 0.0000 12.9832" Properties=species:S:1:pos:R:3 pbc="T T T"
Rb 0.4762 1.8345 2.0820
Rb 1.6179 5.5035 5.0219
Rb 3.4683 1.8345 11.5135
Rb 4.6101 5.5035 8.5737
Rb 5.5625 1.8345 4.4096
Rb 6.7042 5.5035 1.4697
Rb 8.5546 1.8345 7.9613
Rb 9.6963 5.5035 10.9012
W 2.5420 1.8345 7.4038
W 2.5442 5.5035 0.9121
W 7.6283 1.8345 12.0711
W 7.6305 5.5035 5.5795
Se 0.2700 5.5035 1.4408
Se 1.5247 3.7066 8.3055
Se 1.5247 7.3003 8.3055
Se 2.2225 1.8345 5.1053
Se 2.8637 5.5035 11.5970
Se 3.5616 0.0376 1.8139
Se 3.5616 3.6314 1.8139
Se 4.8163 1.8345 7.9324
Se 5.3563 5.5035 5.0508
Se 6.6109 3.7066 11.1694
Se 6.6109 7.3003 11.1694
Se 7.3088 1.8345 1.3863
Se 7.9500 5.5035 7.8779
Se 8.6479 0.0376 4.6777
Se 8.6479 3.6314 4.6777
Se 9.9025 1.8345 11.5424
```

Output
Energy of formation from the pure elements: -1006.0 meV per atom
SG: Pnma
Total moment: 0.0 μB per cell


Record 4
The following is a r2SCAN calculation of ScHg after structural relaxation, from Materials Project.

extended XYZ file:
```
2
Lattice="3.5056 0.0000 0.0000 0.0000 3.5056 0.0000 0.0000 0.0000 3.5056" Properties=species:S:1:pos:R:3 pbc="T T T"
Sc 0.0000 0.0000 0.0000
Hg 1.7528 1.7528 1.7528
```

Output
Energy of formation from the pure elements: -481.8 meV per atom
SG: Pm-3m
Total moment: 0.0 μB per cell


Record 5
The following is a r2SCAN calculation of RbSmS2 after structural relaxation, from Materials Project.

extended XYZ file:
```
4
Lattice="2.0794 1.2005 7.6702 -2.0794 1.2005 7.6702 0.0000 -2.4011 7.6702" Properties=species:S:1:pos:R:3 pbc="T T T"
Rb 0.0000 0.0000 0.0000
Sm 0.0000 0.0000 11.5053
S 0.0000 0.0000 5.3381
S 0.0000 0.0000 17.6725
```

Output
Energy of formation from the pure elements: -2116.6 meV per atom
SG: R-3m
Total moment: 0.0 μB per cell


Record 6
The following is a r2SCAN calculation of SrEu3 after structural relaxation, from Materials Project.

extended XYZ file:
```
4
Lattice="0.0000 4.5740 4.5740 4.5740 0.0000 4.5740 4.5740 4.5740 0.0000" Properties=species:S:1:pos:R:3 pbc="T T T"
Sr 0.0000 0.0000 0.0000
Eu 2.2870 2.2870 2.2870
Eu 4.5740 4.5740 4.5740
Eu 6.8609 6.8609 6.8609
```

Output
Energy of formation from the pure elements: 70.3 meV per atom
SG: Fm-3m
Total moment: 23.6 μB per cell


- Which formula does entry 2 have?
  NaZnP


- Among the records above, which one has the lowest energy of formation from the pure elements?
  Dy5Mo2O12


- What is the formula in the third record?
  Rb2WSe4


- Number 3 is which compound?
  Rb2WSe4